Entry from the Materials Project: Mn2P2H7NO10 after structural relaxation (GGA+U).

CIF file:
```
data_Mn2P2H7NO10
_cell_length_a 6.959
_cell_length_b 7.934
_cell_length_c 16.126
_cell_angle_alpha 90.00
_cell_angle_beta 90.00
_cell_angle_gamma 90.00
_symmetry_space_group_name_H-M 'P 1'
_symmetry_Int_Tables_number 1
_symmetry_space_group_name_Hall 'P 1'
loop_
_atom_site_label
_atom_site_type_symbol
_atom_site_fract_x
_atom_site_fract_y
_atom_site_fract_z
Mn1 Mn 0.118 0.246 0.001
Mn2 Mn 0.138 0.428 0.544
Mn3 Mn 0.362 0.572 0.044
Mn4 Mn 0.382 0.754 0.501
Mn5 Mn 0.618 0.254 0.999
Mn6 Mn 0.638 0.072 0.456
Mn7 Mn 0.862 0.928 0.956
Mn8 Mn 0.882 0.746 0.499
P1 P 0.130 0.101 0.427
P2 P 0.130 0.735 0.659
P3 P 0.370 0.265 0.159
P4 P 0.370 0.899 0.927
P5 P 0.630 0.399 0.573
P6 P 0.630 0.765 0.341
P7 P 0.870 0.235 0.841
P8 P 0.870 0.601 0.073
H1 H 0.026 0.608 0.331
H2 H 0.063 0.220 0.670
H3 H 0.131 0.525 0.245
H4 H 0.160 0.435 0.340
H5 H 0.202 0.108 0.608
H6 H 0.231 0.383 0.821
H7 H 0.233 0.129 0.297
H8 H 0.267 0.871 0.797
H9 H 0.269 0.617 0.321
H10 H 0.298 0.892 0.108
H11 H 0.340 0.565 0.840
H12 H 0.369 0.475 0.745
H13 H 0.437 0.780 0.170
H14 H 0.474 0.392 0.831
H15 H 0.526 0.892 0.669
H16 H 0.563 0.280 0.330
H17 H 0.631 0.975 0.755
H18 H 0.660 0.065 0.660
H19 H 0.702 0.392 0.392
H20 H 0.731 0.117 0.179
H21 H 0.733 0.371 0.703
H22 H 0.767 0.629 0.203
H23 H 0.769 0.883 0.679
H24 H 0.798 0.608 0.892
H25 H 0.840 0.935 0.160
H26 H 0.869 0.025 0.255
H27 H 0.937 0.720 0.830
H28 H 0.974 0.108 0.169
N1 N 0.146 0.546 0.307
N2 N 0.354 0.454 0.807
N3 N 0.646 0.954 0.693
N4 N 0.854 0.046 0.193
O1 O 0.050 0.517 0.037
O2 O 0.054 0.302 0.885
O3 O 0.117 0.776 0.751
O4 O 0.120 0.075 0.330
O5 O 0.128 0.297 0.441
O6 O 0.133 0.646 0.485
O7 O 0.135 0.215 0.617
O8 O 0.145 0.540 0.649
O9 O 0.185 0.976 0.963
O10 O 0.189 0.179 0.118
O11 O 0.311 0.821 0.618
O12 O 0.315 0.024 0.463
O13 O 0.355 0.460 0.149
O14 O 0.365 0.785 0.117
O15 O 0.367 0.354 0.985
O16 O 0.372 0.703 0.941
O17 O 0.380 0.925 0.830
O18 O 0.383 0.224 0.251
O19 O 0.446 0.698 0.385
O20 O 0.450 0.483 0.537
O21 O 0.550 0.983 0.963
O22 O 0.554 0.198 0.115
O23 O 0.617 0.724 0.249
O24 O 0.620 0.425 0.670
O25 O 0.628 0.203 0.559
O26 O 0.633 0.854 0.515
O27 O 0.635 0.285 0.383
O28 O 0.645 0.960 0.351
O29 O 0.685 0.524 0.037
O30 O 0.689 0.321 0.882
O31 O 0.811 0.679 0.382
O32 O 0.815 0.476 0.537
O33 O 0.855 0.040 0.851
O34 O 0.865 0.715 0.883
O35 O 0.867 0.146 0.015
O36 O 0.872 0.797 0.059
O37 O 0.880 0.575 0.170
O38 O 0.883 0.276 0.749
O39 O 0.946 0.802 0.615
O40 O 0.950 0.017 0.463
```

DFT formation energy in kcal/mol of atoms: -41.1
Symmetry: P2_12_12_1


Entry from the Materials Project: Mn3P4H12N2O16 after structural relaxation (GGA+U).

CIF file:
```
data_Mn3P4H12N2O16
_cell_length_a 9.531
_cell_length_b 8.509
_cell_length_c 9.585
_cell_angle_alpha 90.00
_cell_angle_beta 99.73
_cell_angle_gamma 90.00
_symmetry_space_group_name_H-M 'P 1'
_symmetry_Int_Tables_number 1
_symmetry_space_group_name_Hall 'P 1'
loop_
_atom_site_label
_atom_site_type_symbol
_atom_site_fract_x
_atom_site_fract_y
_atom_site_fract_z
Mn1 Mn 0.000 0.000 0.000
Mn2 Mn 0.000 0.500 0.500
Mn3 Mn 0.137 0.138 0.503
Mn4 Mn 0.137 0.362 0.003
Mn5 Mn 0.863 0.638 0.997
Mn6 Mn 0.863 0.862 0.497
P1 P 0.097 0.697 0.789
P2 P 0.097 0.803 0.289
P3 P 0.299 0.055 0.236
P4 P 0.299 0.445 0.736
P5 P 0.701 0.555 0.264
P6 P 0.701 0.945 0.764
P7 P 0.903 0.197 0.711
P8 P 0.903 0.303 0.211
H1 H 0.222 0.537 0.244
H2 H 0.222 0.963 0.744
H3 H 0.352 0.721 0.996
H4 H 0.352 0.779 0.496
H5 H 0.377 0.003 0.709
H6 H 0.377 0.497 0.209
H7 H 0.440 0.628 0.586
H8 H 0.440 0.872 0.086
H9 H 0.467 0.209 0.445
H10 H 0.467 0.291 0.945
H11 H 0.468 0.669 0.421
H12 H 0.468 0.831 0.921
H13 H 0.532 0.169 0.079
H14 H 0.532 0.331 0.579
H15 H 0.533 0.709 0.055
H16 H 0.533 0.791 0.555
H17 H 0.560 0.128 0.914
H18 H 0.560 0.372 0.414
H19 H 0.623 0.503 0.791
H20 H 0.623 0.997 0.291
H21 H 0.648 0.221 0.504
H22 H 0.648 0.279 0.004
H23 H 0.778 0.037 0.256
H24 H 0.778 0.463 0.756
N1 N 0.446 0.719 0.514
N2 N 0.446 0.781 0.014
N3 N 0.554 0.219 0.986
N4 N 0.554 0.281 0.486
O1 O 0.004 0.700 0.641
O2 O 0.004 0.800 0.141
O3 O 0.042 0.580 0.889
O4 O 0.042 0.920 0.389
O5 O 0.132 0.642 0.356
O6 O 0.132 0.858 0.856
O7 O 0.187 0.122 0.116
O8 O 0.187 0.378 0.616
O9 O 0.252 0.628 0.762
O10 O 0.252 0.872 0.262
O11 O 0.274 0.008 0.671
O12 O 0.274 0.492 0.171
O13 O 0.303 0.139 0.377
O14 O 0.303 0.361 0.877
O15 O 0.447 0.037 0.197
O16 O 0.447 0.463 0.697
O17 O 0.553 0.537 0.303
O18 O 0.553 0.963 0.803
O19 O 0.697 0.639 0.123
O20 O 0.697 0.861 0.623
O21 O 0.726 0.508 0.829
O22 O 0.726 0.992 0.329
O23 O 0.748 0.128 0.738
O24 O 0.748 0.372 0.238
O25 O 0.813 0.622 0.384
O26 O 0.813 0.878 0.884
O27 O 0.868 0.142 0.144
O28 O 0.868 0.358 0.644
O29 O 0.958 0.080 0.611
O30 O 0.958 0.420 0.111
O31 O 0.996 0.200 0.859
O32 O 0.996 0.300 0.359
```

DFT formation energy in kcal/mol of atoms: -42.4
Symmetry: P2_1/c


Entry from the Materials Project: MnP3H12NO7 after structural relaxation (GGA+U).

CIF file:
```
data_MnP3H12NO7
_cell_length_a 7.561
_cell_length_b 15.468
_cell_length_c 10.049
_cell_angle_alpha 90.00
_cell_angle_beta 117.22
_cell_angle_gamma 90.00
_symmetry_space_group_name_H-M 'P 1'
_symmetry_Int_Tables_number 1
_symmetry_space_group_name_Hall 'P 1'
loop_
_atom_site_label
_atom_site_type_symbol
_atom_site_fract_x
_atom_site_fract_y
_atom_site_fract_z
Mn1 Mn 0.007 0.172 0.407
Mn2 Mn 0.007 0.328 0.907
Mn3 Mn 0.993 0.672 0.093
Mn4 Mn 0.993 0.828 0.593
P1 P 0.104 0.651 0.454
P2 P 0.104 0.849 0.954
P3 P 0.245 0.171 0.811
P4 P 0.245 0.329 0.311
P5 P 0.431 0.570 0.230
P6 P 0.431 0.930 0.730
P7 P 0.569 0.070 0.270
P8 P 0.569 0.430 0.770
P9 P 0.755 0.671 0.689
P10 P 0.755 0.829 0.189
P11 P 0.896 0.151 0.046
P12 P 0.896 0.349 0.546
H1 H 0.103 0.134 0.115
H2 H 0.103 0.366 0.615
H3 H 0.120 0.111 0.836
H4 H 0.120 0.389 0.336
H5 H 0.164 0.000 0.456
H6 H 0.164 0.500 0.956
H7 H 0.191 0.569 0.513
H8 H 0.191 0.931 0.013
H9 H 0.239 0.041 0.346
H10 H 0.239 0.459 0.846
H11 H 0.315 0.687 0.788
H12 H 0.315 0.813 0.288
H13 H 0.322 0.645 0.947
H14 H 0.322 0.855 0.447
H15 H 0.378 0.531 0.334
H16 H 0.378 0.969 0.834
H17 H 0.437 0.132 0.888
H18 H 0.437 0.368 0.388
H19 H 0.441 0.595 0.862
H20 H 0.441 0.905 0.362
H21 H 0.471 0.192 0.544
H22 H 0.471 0.308 0.044
H23 H 0.477 0.149 0.200
H24 H 0.477 0.351 0.700
H25 H 0.523 0.649 0.300
H26 H 0.523 0.851 0.800
H27 H 0.529 0.692 0.956
H28 H 0.529 0.808 0.456
H29 H 0.559 0.095 0.638
H30 H 0.559 0.405 0.138
H31 H 0.563 0.632 0.612
H32 H 0.563 0.868 0.112
H33 H 0.622 0.031 0.166
H34 H 0.622 0.469 0.666
H35 H 0.678 0.145 0.553
H36 H 0.678 0.355 0.053
H37 H 0.685 0.187 0.712
H38 H 0.685 0.313 0.212
H39 H 0.761 0.541 0.154
H40 H 0.761 0.959 0.654
H41 H 0.809 0.069 0.987
H42 H 0.809 0.431 0.487
H43 H 0.836 0.000 0.544
H44 H 0.836 0.500 0.044
H45 H 0.880 0.611 0.664
H46 H 0.880 0.889 0.164
H47 H 0.897 0.634 0.385
H48 H 0.897 0.866 0.885
N1 N 0.403 0.656 0.888
N2 N 0.403 0.844 0.388
N3 N 0.597 0.156 0.612
N4 N 0.597 0.344 0.112
O1 O 0.136 0.047 0.381
O2 O 0.136 0.453 0.881
O3 O 0.154 0.711 0.588
O4 O 0.154 0.789 0.088
O5 O 0.166 0.679 0.337
O6 O 0.166 0.821 0.837
O7 O 0.188 0.172 0.646
O8 O 0.188 0.328 0.146
O9 O 0.239 0.591 0.086
O10 O 0.239 0.909 0.586
O11 O 0.252 0.245 0.392
O12 O 0.252 0.255 0.892
O13 O 0.418 0.014 0.290
O14 O 0.418 0.486 0.790
O15 O 0.582 0.514 0.210
O16 O 0.582 0.986 0.710
O17 O 0.748 0.745 0.108
O18 O 0.748 0.755 0.608
O19 O 0.761 0.091 0.414
O20 O 0.761 0.409 0.914
O21 O 0.812 0.672 0.854
O22 O 0.812 0.828 0.354
O23 O 0.834 0.179 0.163
O24 O 0.834 0.321 0.663
O25 O 0.846 0.211 0.912
O26 O 0.846 0.289 0.412
O27 O 0.864 0.547 0.119
O28 O 0.864 0.953 0.619
```

DFT formation energy in kcal/mol of atoms: -27.9
Symmetry: P2_1/c


Entry from the Materials Project: MnPH6NO5 after structural relaxation (GGA+U).

CIF file:
```
data_MnPH6NO5
_cell_length_a 17.981
_cell_length_b 5.801
_cell_length_c 4.923
_cell_angle_alpha 90.00
_cell_angle_beta 90.00
_cell_angle_gamma 90.00
_symmetry_space_group_name_H-M 'P 1'
_symmetry_Int_Tables_number 1
_symmetry_space_group_name_Hall 'P 1'
loop_
_atom_site_label
_atom_site_type_symbol
_atom_site_fract_x
_atom_site_fract_y
_atom_site_fract_z
Mn1 Mn 0.238 0.250 0.130
Mn2 Mn 0.262 0.750 0.630
Mn3 Mn 0.738 0.250 0.370
Mn4 Mn 0.762 0.750 0.870
P1 P 0.151 0.750 0.195
P2 P 0.349 0.250 0.695
P3 P 0.651 0.750 0.305
P4 P 0.849 0.250 0.805
H1 H 0.020 0.750 0.920
H2 H 0.022 0.750 0.568
H3 H 0.045 0.103 0.256
H4 H 0.045 0.397 0.256
H5 H 0.151 0.114 0.701
H6 H 0.151 0.386 0.701
H7 H 0.349 0.614 0.201
H8 H 0.349 0.886 0.201
H9 H 0.455 0.603 0.756
H10 H 0.455 0.897 0.756
H11 H 0.478 0.250 0.068
H12 H 0.480 0.250 0.420
H13 H 0.520 0.750 0.580
H14 H 0.522 0.750 0.932
H15 H 0.545 0.103 0.244
H16 H 0.545 0.397 0.244
H17 H 0.651 0.114 0.799
H18 H 0.651 0.386 0.799
H19 H 0.849 0.614 0.299
H20 H 0.849 0.886 0.299
H21 H 0.955 0.603 0.744
H22 H 0.955 0.897 0.744
H23 H 0.978 0.250 0.432
H24 H 0.980 0.250 0.080
N1 N 0.012 0.250 0.257
N2 N 0.488 0.750 0.757
N3 N 0.512 0.250 0.243
N4 N 0.988 0.750 0.743
O1 O 0.065 0.750 0.245
O2 O 0.144 0.250 0.818
O3 O 0.166 0.750 0.889
O4 O 0.188 0.536 0.338
O5 O 0.188 0.964 0.338
O6 O 0.312 0.036 0.838
O7 O 0.312 0.464 0.838
O8 O 0.334 0.250 0.389
O9 O 0.356 0.750 0.318
O10 O 0.435 0.250 0.745
O11 O 0.565 0.750 0.255
O12 O 0.644 0.250 0.682
O13 O 0.666 0.750 0.611
O14 O 0.688 0.536 0.162
O15 O 0.688 0.964 0.162
O16 O 0.812 0.036 0.662
O17 O 0.812 0.464 0.662
O18 O 0.834 0.250 0.111
O19 O 0.856 0.750 0.182
O20 O 0.935 0.250 0.755
```

DFT formation energy in kcal/mol of atoms: -36.0
Symmetry: Pnma


Question: Which of these has the highest DFT formation energy?
Answer: MnP3H12NO7


Question: What is the DFT formation energy in the first record?
Answer: -41.1 kcal/mol of atoms


Question: Among the records above, which one has the lowest DFT formation energy?
Answer: Mn3P4H12N2O16


Question: DFT formation energy of number 1 (Mn2P2H7NO10)?
Answer: -41.1 kcal/mol of atoms